(1)
First-principles (PBE) data for a relaxed structure of NaLaSe2O6, as listed in the Materials Project.

Crystal system = monoclinic
Corrected total energy (MP2020 scheme) = -259.11 eV per cell

Cell: 6.8568 6.7663 13.7895 Å, 72.38 90.00 90.00°
Fractional positions:
Se  0.8518  0.3779  0.4314
Se  0.3518  0.6221  0.0686
Se  0.6482  0.3779  0.9314
Se  0.8350  0.9656  0.6389
Se  0.6650  0.9656  0.1389
Se  0.1482  0.6221  0.5686
Se  0.3350  0.0344  0.8611
Se  0.1650  0.0344  0.3611
O  0.7947  0.8638  0.0580
O  0.6640  0.1232  0.6697
O  0.1699  0.2520  0.2550
O  0.3301  0.2520  0.7550
O  0.2947  0.1362  0.4420
O  0.7053  0.8638  0.5580
O  0.3186  0.4681  0.5346
O  0.8301  0.7480  0.7450
O  0.6699  0.7480  0.2450
O  0.2053  0.1362  0.9420
O  0.1640  0.8768  0.8303
O  0.7173  0.3063  0.3393
O  0.4843  0.5477  0.8546
O  0.8360  0.1232  0.1697
O  0.2173  0.6937  0.1607
O  0.5157  0.4523  0.1454
O  0.6814  0.5319  0.4654
O  0.9843  0.4523  0.6454
O  0.7827  0.3063  0.8393
O  0.8186  0.5319  0.9654
O  0.1814  0.4681  0.0346
O  0.2827  0.6937  0.6607
O  0.0157  0.5477  0.3546
O  0.3360  0.8768  0.3303
Na  0.6670  0.9250  0.3830
Na  0.3330  0.0750  0.6170
Na  0.8330  0.9250  0.8830
Na  0.1670  0.0750  0.1170
La  0.6216  0.4915  0.6643
La  0.3784  0.5085  0.3357
La  0.8784  0.4915  0.1643
La  0.1216  0.5085  0.8357


(2)
First-principles (PBE) data for a relaxed structure of NaTiS2, as listed in the Materials Project.

Crystal system = trigonal
Corrected total energy (MP2020 scheme) = -23.81 eV per cell

Cell: 7.0923 7.0923 7.0923 Å, 29.13 29.13 29.13°
Fractional positions:
Ti  0.9976  0.9976  0.9976
S  0.5949  0.5949  0.5949
S  0.4006  0.4006  0.4006
Na  0.1668  0.1668  0.1668


(3)
First-principles (PBE) data for a relaxed structure of USnAu2, as listed in the Materials Project.

Crystal system = cubic

Cell: 4.9659 4.9659 4.9659 Å, 60.00 60.00 60.00°
Fractional positions:
Au  0.7500  0.7500  0.7500
Au  0.2500  0.2500  0.2500
U  0.5000  0.5000  0.5000
Sn  0.0000  0.0000  0.0000


Number 1: calculated formation energy -2.184 eV per atom. Number 2: calculated formation energy -1.581 eV per atom. Number 3: calculated formation energy -0.229 eV per atom.